VASP calculation (r2SCAN) on a relaxed SmBN2 crystal.

Cell: 7.2970 7.2970 7.2970 Å, 110.76 110.76 110.76°
Fractional positions:
N 0.3735 0.2500 0.1265
N 0.0072 0.2500 0.4928
Sm 0.7044 0.7956 0.2500
N 0.2500 0.1265 0.3735
N 0.2500 0.4928 0.0072
Sm 0.7500 0.2956 0.2044
Sm 0.2500 0.7044 0.7956
Sm 0.2956 0.2044 0.7500
Sm 0.7956 0.2500 0.7044
B 0.2500 0.3703 0.1297
N 0.8735 0.6265 0.7500
N 0.1265 0.3735 0.2500
B 0.8703 0.7500 0.6297
N 0.6265 0.7500 0.8735
N 0.7500 0.8735 0.6265
B 0.3703 0.1297 0.2500
N 0.9928 0.7500 0.5072
B 0.7500 0.6297 0.8703
N 0.5072 0.9928 0.7500
N 0.4928 0.0072 0.2500
N 0.7500 0.5072 0.9928
B 0.6297 0.8703 0.7500
Sm 0.2044 0.7500 0.2956
B 0.1297 0.2500 0.3703



VASP calculation (r2SCAN) on a relaxed Sr3B2N4 crystal.

Cell: 7.6471 7.6471 7.6471 Å, 90.00 90.00 90.00°
Fractional positions:
B 0.5000 0.0000 0.0000
N 0.3253 0.0000 0.0000
Sr 0.2630 0.2630 0.7370
N 0.5000 0.5000 0.8250
N 0.6747 0.0000 0.0000
Sr 0.2630 0.7370 0.2630
B 0.0000 0.5000 0.5000
B 0.0000 0.0000 0.5000
N 0.1750 0.5000 0.5000
Sr 0.2630 0.7370 0.7370
N 0.8250 0.5000 0.5000
Sr 0.7370 0.7370 0.2630
B 0.0000 0.5000 0.0000
N 0.5000 0.1750 0.5000
N 0.0000 0.6747 0.0000
B 0.5000 0.0000 0.5000
Sr 0.0000 0.0000 0.0000
N 0.0000 0.3253 0.0000
Sr 0.7370 0.2630 0.2630
N 0.0000 0.0000 0.6747
Sr 0.2630 0.2630 0.2630
Sr 0.7370 0.7370 0.7370
B 0.5000 0.5000 0.0000
N 0.5000 0.8250 0.5000
Sr 0.7370 0.2630 0.7370
N 0.5000 0.5000 0.1750
N 0.0000 0.0000 0.3253



VASP calculation (r2SCAN) on a relaxed Na2B8O13 crystal.

Cell: 17.7855 6.4849 8.3397 Å, 83.00 90.00 90.00°
Fractional positions:
B 0.4179 0.0712 0.1838
O 0.1757 0.9579 0.7939
O 0.8684 0.9113 0.4757
B 0.7541 0.0373 0.2660
O 0.0223 0.4581 0.2751
Na 0.0997 0.4551 0.5725
O 0.6316 0.4113 0.4757
B 0.5054 0.7661 0.2608
O 0.6757 0.5421 0.2061
O 0.3966 0.9818 0.0348
O 0.9413 0.8635 0.2475
B 0.2178 0.5910 0.2252
O 0.2844 0.6103 0.3058
O 0.6034 0.0182 0.9652
O 0.2156 0.1103 0.3058
Na 0.5997 0.0449 0.4275
O 0.0732 0.7893 0.6698
O 0.3684 0.5887 0.5243
B 0.1082 0.9894 0.6838
B 0.7992 0.9404 0.5332
B 0.0821 0.5712 0.1838
Na 0.9003 0.5449 0.4275
O 0.3112 0.9527 0.8234
B 0.3918 0.4894 0.6838
Na 0.8638 0.9077 0.9743
B 0.3278 0.0158 0.9713
O 0.8112 0.5473 0.1766
B 0.8278 0.4842 0.0287
O 0.4777 0.9581 0.2751
O 0.2704 0.0939 0.0594
O 0.0587 0.1365 0.7525
O 0.4374 0.2889 0.1378
B 0.2822 0.0910 0.2252
O 0.5732 0.7107 0.3302
O 0.9268 0.2107 0.3302
O 0.9651 0.8773 0.8141
O 0.7414 0.0204 0.4314
O 0.7586 0.5204 0.4314
B 0.2541 0.4627 0.7340
Na 0.4003 0.9551 0.5725
Na 0.3638 0.5923 0.0257
O 0.7296 0.9061 0.9406
O 0.8505 0.4298 0.7077
O 0.6495 0.9298 0.7077
O 0.9374 0.2111 0.8622
O 0.0626 0.7889 0.1378
Na 0.1362 0.0923 0.0257
B 0.7008 0.4404 0.5332
B 0.2008 0.0596 0.4668
B 0.7178 0.9090 0.7748
O 0.4413 0.6365 0.7525
O 0.9777 0.5419 0.7249
B 0.7822 0.4090 0.7748
O 0.4268 0.2893 0.6698
O 0.8243 0.0421 0.2061
B 0.4946 0.2339 0.7392
B 0.0118 0.9165 0.1942
B 0.2459 0.9627 0.7340
O 0.1316 0.0887 0.5243
B 0.9179 0.4288 0.8162
O 0.2414 0.4796 0.5686
Na 0.6362 0.4077 0.9743
O 0.2296 0.5939 0.0594
B 0.5821 0.9288 0.8162
B 0.8918 0.0106 0.3162
O 0.2586 0.9796 0.5686
B 0.5118 0.5835 0.8058
B 0.1722 0.5158 0.9713
O 0.4651 0.6227 0.1859
O 0.5223 0.0419 0.7249
O 0.7156 0.3897 0.6942
B 0.7459 0.5373 0.2660
O 0.8966 0.5182 0.9652
B 0.4882 0.4165 0.1942
O 0.5349 0.3773 0.8141
O 0.7844 0.8897 0.6942
B 0.6082 0.5106 0.3162
B 0.2992 0.5596 0.4668
B 0.9882 0.0835 0.8058
O 0.3243 0.4579 0.7939
O 0.5587 0.3635 0.2475
B 0.6722 0.9842 0.0287
O 0.6888 0.0473 0.1766
O 0.1034 0.4818 0.0348
B 0.9946 0.2661 0.2608
O 0.7704 0.4061 0.9406
O 0.1495 0.5702 0.2923
O 0.0349 0.1227 0.1859
O 0.5626 0.7111 0.8622
O 0.1888 0.4527 0.8234
B 0.0054 0.7339 0.7392
O 0.3505 0.0702 0.2923



VASP calculation (r2SCAN) on a relaxed Na3B7O12 crystal.

Cell: 6.6507 8.2026 8.8606 Å, 95.60 100.60 99.54°
Fractional positions:
O 0.3267 0.1421 0.6163
O 0.1037 0.4586 0.2683
B 0.9872 0.3040 0.3064
O 0.0305 0.1252 0.8667
O 0.5978 0.8152 0.1055
B 0.9025 0.9557 0.8086
Na 0.0669 0.7322 0.3357
B 0.4024 0.2691 0.7545
B 0.2282 0.1296 0.9522
O 0.9634 0.1641 0.1882
B 0.7891 0.8483 0.5263
O 0.7846 0.9635 0.6496
B 0.6901 0.4954 0.7253
B 0.0128 0.6960 0.6936
B 0.5976 0.7309 0.2455
O 0.6733 0.8579 0.3837
B 0.6570 0.4489 0.2930
O 0.2825 0.4029 0.7572
O 0.9134 0.7319 0.5426
O 0.4022 0.1848 0.8945
O 0.0866 0.2681 0.4574
O 0.6256 0.3377 0.7599
O 0.3744 0.6623 0.2401
O 0.2261 0.6703 0.6838
O 0.5471 0.5962 0.6849
O 0.2154 0.0365 0.3504
O 0.9695 0.8748 0.1333
O 0.8963 0.5414 0.7317
B 0.0975 0.0443 0.1914
Na 0.5493 0.0796 0.2872
O 0.0366 0.8359 0.8118
B 0.2109 0.1517 0.4737
O 0.4529 0.4038 0.3151
B 0.3099 0.5046 0.2747
Na 0.7664 0.2293 0.9787
O 0.7739 0.3297 0.3162
Na 0.4507 0.9204 0.7128
O 0.7175 0.5971 0.2428
Na 0.9331 0.2678 0.6643
B 0.3430 0.5511 0.7070
Na 0.2336 0.7707 0.0213
O 0.2604 0.0763 0.0952
O 0.7396 0.9237 0.9048
B 0.7718 0.8704 0.0478



In order of appearance, E = -15.4564 -12.0339 -8.8180 -8.6436 eV/atom.
In order of appearance, formation energy = -37.410 -29.877 -59.429 -59.089 kcal/mol of atoms.